FeGe7N10 GGA-PBE optimized geometry; energy of formation from the pure elements = -0.03 eV per atom; total energy after the MP2020 corrections = -6.93 eV per atom; space-group type = Pc (7)
1.0
-5.1870 -3.0931 -3.2298
3.3719 -6.5978 0.9034
-2.9538 -0.1597 9.8581
N Ge Fe
20 14 2
Direct
0.7677 0.1436 0.3045 N
0.4435 0.1221 0.6667 N
0.7145 0.4000 0.8234 N
0.5323 0.1363 0.9604 N
0.5165 0.5557 0.0163 N
0.7145 0.6000 0.3234 N
0.3014 0.4853 0.2205 N
0.0799 0.5725 0.9428 N
0.2954 0.1238 0.3563 N
0.4435 0.8779 0.1667 N
0.5323 0.8637 0.4604 N
0.5165 0.4443 0.5163 N
0.3014 0.5147 0.7205 N
0.2954 0.8762 0.8563 N
0.0799 0.4275 0.4428 N
0.1302 0.8504 0.5601 N
0.7677 0.8564 0.8045 N
0.8797 0.6386 0.6349 N
0.8797 0.3614 0.1349 N
0.1302 0.1496 0.0601 N
0.8426 0.3822 0.3161 Ge
0.8426 0.6178 0.8161 Ge
0.3040 0.6269 0.8796 Ge
0.4948 0.3623 0.6830 Ge
0.5416 0.9832 0.8170 Ge
0.6558 0.6483 0.4893 Ge
0.3040 0.3731 0.3796 Ge
0.3303 0.0154 0.0188 Ge
0.5416 0.0168 0.3170 Ge
0.6558 0.3517 0.9893 Ge
0.1171 0.6030 0.5745 Ge
0.1171 0.3970 0.0745 Ge
0.4948 0.6377 0.1830 Ge
0.3303 0.9846 0.5188 Ge
0.9950 0.8754 0.7051 Fe
0.9950 0.1246 0.2051 Fe

***

Mo3H GGA-PBE optimized geometry; energy of formation from the pure elements = 0.85 eV per atom; total energy after the MP2020 corrections = -8.14 eV per atom; space-group type = Fm-3m (225)
1.0
0.0000 3.0396 3.0396
3.0396 0.0000 3.0396
3.0396 3.0396 0.0000
H Mo
1 3
Direct
0.0000 0.0000 0.0000 H
0.2500 0.2500 0.2500 Mo
0.7500 0.7500 0.7500 Mo
0.5000 0.5000 0.5000 Mo

***

Sm2C3N6 GGA-PBE optimized geometry; energy of formation from the pure elements = -0.96 eV per atom; total energy after the MP2020 corrections = -8.88 eV per atom; space-group type = C2/m (12)
1.0
1.9639 7.3582 0.0000
-1.9639 7.3582 0.0000
0.0000 0.5849 5.2783
N C Sm
6 3 2
Direct
0.3105 0.3105 0.8295 N
0.9891 0.9891 0.7335 N
0.6576 0.6576 0.6367 N
0.3424 0.3424 0.3633 N
0.0109 0.0109 0.2665 N
0.6895 0.6895 0.1705 N
0.0000 0.0000 0.5000 C
0.6721 0.6721 0.4061 C
0.3279 0.3279 0.5939 C
0.1345 0.1345 0.9289 Sm
0.8655 0.8655 0.0711 Sm

***

NaCaLa3S6O24 GGA-PBE optimized geometry; energy of formation from the pure elements = -2.60 eV per atom; total energy after the MP2020 corrections = -7.22 eV per atom; space-group type = P3 (143)
1.0
9.5016 0.0000 0.0000
-4.7508 8.2286 0.0000
0.0000 0.0000 24.9954
O Na S La Ca
72 3 18 9 3
Direct
0.3116 0.8600 0.2578 O
0.1854 0.9828 0.9118 O
0.3111 0.4529 0.7582 O
0.8807 0.5334 0.1308 O
0.2123 0.0251 0.2993 O
0.3549 0.4748 0.0750 O
0.1996 0.2134 0.7025 O
0.3573 0.8779 0.5760 O
0.9767 0.1885 0.5906 O
0.2118 0.0233 0.5906 O
0.8692 0.3505 0.9216 O
0.7866 0.9862 0.7025 O
0.8547 0.5460 0.0342 O
0.4813 0.3531 0.4201 O
0.0122 0.2126 0.2024 O
0.4752 0.1188 0.6314 O
0.5471 0.8583 0.7582 O
0.8718 0.5187 0.4201 O
0.8812 0.3564 0.6314 O
0.9753 0.7934 0.0865 O
0.3519 0.8855 0.8685 O
0.8181 0.0247 0.0865 O
0.6923 0.5395 0.2471 O
0.9757 0.7878 0.7992 O
0.5206 0.6427 0.5760 O
0.4540 0.3087 0.0342 O
0.2066 0.1819 0.0865 O
0.1879 0.2091 0.4079 O
0.1199 0.6451 0.0750 O
0.5336 0.6481 0.8685 O
0.4605 0.1528 0.2471 O
0.6436 0.5248 0.6314 O
0.6495 0.5188 0.9216 O
0.1331 0.4479 0.9650 O
0.8115 0.7882 0.5906 O
0.0138 0.8004 0.7025 O
0.1417 0.6889 0.7582 O
0.1177 0.6423 0.3677 O
0.1332 0.6838 0.4639 O
0.7974 0.8146 0.9118 O
0.8585 0.3111 0.5355 O
0.8122 0.0243 0.7992 O
0.5247 0.8823 0.3677 O
0.8472 0.3077 0.2471 O
0.8490 0.5407 0.7470 O
0.7874 0.7996 0.2024 O
0.6917 0.1510 0.7470 O
0.6527 0.1193 0.1308 O
0.1400 0.4517 0.2578 O
0.0212 0.8121 0.4079 O
0.6913 0.1453 0.0342 O
0.5506 0.8668 0.4639 O
0.0172 0.2026 0.9118 O
0.3577 0.4753 0.3677 O
0.4593 0.3083 0.7470 O
0.3147 0.8669 0.9650 O
0.2122 0.1878 0.7992 O
0.3162 0.4494 0.4639 O
0.5521 0.6853 0.9650 O
0.4666 0.3473 0.1308 O
0.6469 0.1282 0.4201 O
0.8128 0.7877 0.2993 O
0.4812 0.1308 0.9216 O
0.6889 0.5474 0.5355 O
0.1221 0.4794 0.5760 O
0.4526 0.1415 0.5355 O
0.7909 0.9788 0.4079 O
0.9749 0.1872 0.2993 O
0.5483 0.6884 0.2578 O
0.1145 0.4664 0.8685 O
0.2004 0.9878 0.2024 O
0.5252 0.8801 0.0750 O
0.6667 0.3333 0.3331 Na
0.6667 0.3333 0.8389 Na
0.0000 0.0000 0.9946 Na
0.0377 0.6685 0.4150 S
0.9946 0.2879 0.2527 S
0.6708 0.0438 0.0809 S
0.3730 0.3292 0.0809 S
0.3333 0.9683 0.9166 S
0.6661 0.6263 0.5833 S
0.7112 0.0034 0.7522 S
0.2922 0.2888 0.7522 S
0.9562 0.6270 0.0809 S
0.3737 0.0398 0.5833 S
0.9966 0.7078 0.7522 S
0.3315 0.3691 0.4150 S
0.9602 0.3339 0.5833 S
0.2933 0.0054 0.2527 S
0.7121 0.7067 0.2527 S
0.6350 0.6667 0.9166 S
0.6309 0.9623 0.4150 S
0.0317 0.3650 0.9166 S
0.3333 0.6667 0.0187 La
0.3333 0.6667 0.3120 La
0.6667 0.3333 0.4810 La
0.6667 0.3333 0.6861 La
0.0000 0.0000 0.6475 La
0.3333 0.6667 0.5181 La
0.6667 0.3333 0.1835 La
0.3333 0.6667 0.8143 La
0.0000 0.0000 0.1495 La
0.0000 0.0000 0.3546 Ca
0.6667 0.3333 0.9818 Ca
0.0000 0.0000 0.8513 Ca

***

SmZrNO2 GGA-PBE optimized geometry; energy of formation from the pure elements = -2.95 eV per atom; total energy after the MP2020 corrections = -9.25 eV per atom; space-group type = Pnma (62)
1.0
0.0000 0.0000 5.6943
5.8450 0.0000 0.0000
0.0000 8.3350 0.0000
Zr N Sm O
4 4 4 8
Direct
0.0000 0.5000 0.0000 Zr
0.5000 0.0000 0.0000 Zr
0.5000 0.0000 0.5000 Zr
0.0000 0.5000 0.5000 Zr
0.5939 0.0448 0.7500 N
0.9061 0.5448 0.7500 N
0.0939 0.4552 0.2500 N
0.4061 0.9552 0.2500 N
0.0133 0.0465 0.2500 Sm
0.5133 0.4535 0.7500 Sm
0.9867 0.9535 0.7500 Sm
0.4867 0.5465 0.2500 Sm
0.8257 0.8232 0.0449 O
0.1743 0.1768 0.5449 O
0.6743 0.3232 0.0449 O
0.1743 0.1768 0.9551 O
0.3257 0.6768 0.5449 O
0.8257 0.8232 0.4551 O
0.3257 0.6768 0.9551 O
0.6743 0.3232 0.4551 O

***

Pm2CoNi GGA-PBE optimized geometry; energy of formation from the pure elements = -0.13 eV per atom; space-group type = Fm-3m (225)
1.0
0.0000 3.4321 3.4321
3.4321 0.0000 3.4321
3.4321 3.4321 0.0000
Co Pm Ni
1 2 1
Direct
0.5000 0.5000 0.5000 Co
0.7500 0.7500 0.7500 Pm
0.2500 0.2500 0.2500 Pm
0.0000 0.0000 0.0000 Ni

***

Np GGA-PBE optimized geometry; energy of formation from the pure elements = 0.45 eV per atom; space-group type = Im-3m (229)
1.0
1.4936 -2.2880 0.7981
0.0630 1.9459 2.0766
-2.6963 -0.7573 -0.5092
Np
1
Direct
0.0000 0.0000 0.0000 Np

***

TiCrAgS4 GGA-PBE optimized geometry; energy of formation from the pure elements = -1.07 eV per atom; total energy after the MP2020 corrections = -6.35 eV per atom; space-group type = Pmmn (59)
1.0
5.9400 0.0000 0.0000
0.0000 6.9379 0.0000
0.0000 0.0000 13.3532
S Ag Cr Ti
16 4 4 4
Direct
0.1622 0.2481 0.1457 S
0.8378 0.2519 0.6457 S
0.8378 0.7481 0.3543 S
0.6675 0.0000 0.8541 S
0.1622 0.2481 0.8543 S
0.3314 0.0000 0.3538 S
0.3325 0.5000 0.3541 S
0.3325 0.5000 0.6459 S
0.1622 0.7519 0.8543 S
0.6675 0.0000 0.1459 S
0.6686 0.5000 0.8538 S
0.8378 0.7481 0.6457 S
0.3314 0.0000 0.6462 S
0.8378 0.2519 0.3543 S
0.1622 0.7519 0.1457 S
0.6686 0.5000 0.1462 S
0.6610 0.5000 0.5000 Ag
0.0223 0.0000 0.5000 Ag
0.9777 0.5000 0.0000 Ag
0.3390 0.0000 0.0000 Ag
0.9997 0.5000 0.7484 Cr
0.0003 0.0000 0.2484 Cr
0.9997 0.5000 0.2516 Cr
0.0003 0.0000 0.7516 Cr
0.5000 0.2500 0.2500 Ti
0.5000 0.7500 0.2500 Ti
0.5000 0.7500 0.7500 Ti
0.5000 0.2500 0.7500 Ti

***

CsHo2Cl7 GGA-PBE optimized geometry; energy of formation from the pure elements = -2.70 eV per atom; total energy after the MP2020 corrections = -5.00 eV per atom; space-group type = Pnma (62)
1.0
7.0602 0.0000 0.0000
0.0000 12.7210 0.0000
0.0000 0.0000 13.8350
Cs Cl Ho
4 28 8
Direct
0.2500 0.8050 0.0412 Cs
0.7500 0.3050 0.4588 Cs
0.7500 0.1950 0.9588 Cs
0.2500 0.6950 0.5412 Cs
0.5147 0.8065 0.3229 Cl
0.5147 0.6935 0.8229 Cl
0.0103 0.4600 0.6371 Cl
0.9908 0.4243 0.8733 Cl
0.0147 0.3065 0.1771 Cl
0.4897 0.0400 0.1371 Cl
0.5092 0.0757 0.3733 Cl
0.7500 0.6879 0.6126 Cl
0.2500 0.1879 0.8874 Cl
0.9897 0.5400 0.3629 Cl
0.7500 0.8121 0.1126 Cl
0.5092 0.4243 0.8733 Cl
0.4853 0.3065 0.1771 Cl
0.9853 0.6935 0.8229 Cl
0.4908 0.9243 0.6267 Cl
0.0092 0.9243 0.6267 Cl
0.0147 0.1935 0.6771 Cl
0.9853 0.8065 0.3229 Cl
0.9897 0.9600 0.8629 Cl
0.0092 0.5757 0.1267 Cl
0.4853 0.1935 0.6771 Cl
0.2500 0.3121 0.3874 Cl
0.5103 0.5400 0.3629 Cl
0.0103 0.0400 0.1371 Cl
0.4897 0.4600 0.6371 Cl
0.5103 0.9600 0.8629 Cl
0.9908 0.0757 0.3733 Cl
0.4908 0.5757 0.1267 Cl
0.2500 0.1569 0.2502 Ho
0.2500 0.0400 0.7383 Ho
0.2500 0.4600 0.2383 Ho
0.7500 0.5400 0.7617 Ho
0.2500 0.3431 0.7502 Ho
0.7500 0.8431 0.7498 Ho
0.7500 0.6569 0.2498 Ho
0.7500 0.9600 0.2617 Ho

***

Rb6WN4 GGA-PBE optimized geometry; energy of formation from the pure elements = -0.12 eV per atom; total energy after the MP2020 corrections = -4.87 eV per atom; space-group type = P4_2/nmc (137)
1.0
-2.7688 -7.5725 2.8645
7.9928 -3.0389 -0.3080
1.0879 2.1726 6.7951
Rb N W
12 8 2
Direct
0.2043 0.2043 0.5000 Rb
0.0000 0.5000 0.7031 Rb
0.2957 0.2957 0.0000 Rb
0.7043 0.7043 0.0000 Rb
0.0000 0.5000 0.2031 Rb
0.5000 0.0000 0.2969 Rb
0.2957 0.7043 0.0000 Rb
0.7043 0.2957 0.0000 Rb
0.7957 0.2043 0.5000 Rb
0.5000 0.0000 0.7969 Rb
0.7957 0.7957 0.5000 Rb
0.2043 0.7957 0.5000 Rb
0.5000 0.6893 0.6446 N
0.0000 0.1893 0.8554 N
0.3107 0.5000 0.3554 N
0.6893 0.5000 0.3554 N
0.5000 0.3107 0.6446 N
0.8107 0.0000 0.1446 N
0.0000 0.8107 0.8554 N
0.1893 0.0000 0.1446 N
0.5000 0.5000 0.5000 W
0.0000 0.0000 0.0000 W

***

UCoS3 GGA-PBE optimized geometry; energy of formation from the pure elements = -1.26 eV per atom; total energy after the MP2020 corrections = -7.42 eV per atom; space-group type = Pnma (62)
1.0
-0.5293 -1.9772 -5.5361
4.9607 -4.5823 1.1623
-5.7434 -5.5734 2.5397
S Co U
12 4 4
Direct
0.6427 0.9644 0.2500 S
0.6607 0.6837 0.9497 S
0.1427 0.5356 0.7500 S
0.1607 0.8163 0.0503 S
0.3393 0.3163 0.4497 S
0.6607 0.6837 0.5503 S
0.8393 0.1837 0.5503 S
0.3393 0.3163 0.0503 S
0.1607 0.8163 0.4497 S
0.8393 0.1837 0.9497 S
0.8573 0.4644 0.2500 S
0.3573 0.0356 0.7500 S
0.0000 0.5000 0.0000 Co
0.5000 0.0000 0.5000 Co
0.0000 0.5000 0.5000 Co
0.5000 0.0000 0.0000 Co
0.0655 0.1237 0.2500 U
0.9345 0.8763 0.7500 U
0.4345 0.6237 0.2500 U
0.5655 0.3763 0.7500 U

***

Sm3NbS3O4 GGA-PBE optimized geometry; energy of formation from the pure elements = -3.02 eV per atom; total energy after the MP2020 corrections = -8.16 eV per atom; piezoelectric modulus e_max = 0.4 C/m²; space-group type = Pna2_1 (33)
1.0
-0.8906 6.4722 -1.6526
-7.6464 -1.0843 -0.1257
-0.7192 3.4572 13.9268
Nb O Sm S
4 16 12 12
Direct
0.3212 0.2647 0.9265 Nb
0.8212 0.2647 0.5735 Nb
0.1788 0.7647 0.4265 Nb
0.6788 0.7647 0.0735 Nb
0.3817 0.4789 0.8613 O
0.8582 0.2427 0.4378 O
0.8655 0.7636 0.4266 O
0.1418 0.7427 0.5622 O
0.1345 0.2636 0.5734 O
0.3756 0.0299 0.8872 O
0.8756 0.0299 0.6128 O
0.6244 0.5299 0.1128 O
0.6418 0.7427 0.9378 O
0.3655 0.7636 0.0734 O
0.1183 0.9789 0.3613 O
0.6345 0.2636 0.9266 O
0.8817 0.4789 0.6387 O
0.3582 0.2427 0.0622 O
0.1244 0.5299 0.3872 O
0.6183 0.9789 0.1387 O
0.2169 0.0059 0.6555 Sm
0.2289 0.4952 0.6691 Sm
0.2831 0.5059 0.1555 Sm
0.2711 0.9952 0.1691 Sm
0.7711 0.9952 0.3309 Sm
0.7289 0.4952 0.8309 Sm
0.7831 0.5059 0.3445 Sm
0.7220 0.2495 0.0823 Sm
0.2220 0.2495 0.4177 Sm
0.7780 0.7495 0.5823 Sm
0.2780 0.7495 0.9177 Sm
0.7169 0.0059 0.8445 Sm
0.9509 0.7395 0.2013 S
0.4675 0.9696 0.4916 S
0.5491 0.2395 0.7013 S
0.4979 0.2606 0.2726 S
0.0491 0.2395 0.7987 S
0.0325 0.4696 0.9916 S
0.5021 0.7606 0.7274 S
0.0021 0.7606 0.7726 S
0.5325 0.4696 0.5084 S
0.9675 0.9696 0.0084 S
0.9979 0.2606 0.2274 S
0.4509 0.7395 0.2987 S

***

NbSnSb GGA-PBE optimized geometry; energy of formation from the pure elements = -0.25 eV per atom; total energy after the MP2020 corrections = -6.33 eV per atom; space-group type = Fmmm (69)
1.0
2.9495 -4.2167 4.5217
2.2407 1.2530 5.1028
-2.6147 -3.3329 3.5795
Sb Sn Nb
2 2 2
Direct
0.8491 0.8491 0.1509 Sb
0.1509 0.1509 0.8491 Sb
0.3465 0.6535 0.3465 Sn
0.6535 0.3465 0.6535 Sn
0.7500 0.7500 0.7500 Nb
0.2500 0.2500 0.2500 Nb